Entry 1:
Density functional theory data (PBE) for crystalline NaHfCuSe3 at its relaxed geometry.

Unit cell a=13.723 b=3.839 c=10.308 alpha=90.00 beta=90.00 gamma=90.00
Space group Pnma (No. 62)
Unique sites:
Na 0.230 0.250 0.041 [4 per cell]
Hf 0.011 0.250 0.322 [4 per cell]
Cu 0.009 0.750 0.091 [4 per cell]
Se 0.101 0.250 0.564 [4 per cell]
Se 0.104 0.750 0.879 [4 per cell]
Se 0.138 0.750 0.254 [4 per cell]

Values from the calculation:
Calculated density, g/cm3: 6.1
Energy of formation, eV/f.u.: -7.7

---

Entry 2:
Density functional theory data (PBE) for crystalline Dy8Ga3Co at its relaxed geometry.

Unit cell a=10.0262 b=10.0262 c=6.9181 alpha=90.00 beta=90.00 gamma=120.00
Space group P6_3mc (No. 186)
Unique sites:
Dy 0.0000 0.0000 0.0241 [2 per cell]
Dy 0.0732 0.5366 0.0000 [6 per cell]
Dy 0.1727 0.3453 0.3030 [6 per cell]
Dy 0.3333 0.6667 0.6202 [2 per cell]
Ga 0.1634 0.3268 0.7528 [6 per cell]
Co 0.3333 0.6667 0.2371 [2 per cell]

Values from the calculation:
Total moment, μB per formula unit: 0.00
Calculated density, g/cm3: 8.6
Energy of formation, eV/f.u.: -4.8

---

Entry 3:
Density functional theory data (PBE) for crystalline CeSe2 at its relaxed geometry.

Unit cell a=16.9066 b=16.9066 c=17.3089 alpha=90.00 beta=90.00 gamma=120.00
Space group P6_3/mmc (No. 194)
Unique sites:
Ce 0.1392 0.5696 0.1044 [12 per cell]
Se 0.0000 0.5000 0.0000 [6 per cell]
Se 0.0692 0.5346 0.2500 [6 per cell]
Se 0.2474 0.4948 0.0850 [12 per cell]

Values from the calculation:
Total moment, μB per formula unit: 0.00
Calculated density, g/cm3: 1.4
Energy of formation, eV/f.u.: -4.2

---

Entry 4:
Density functional theory data (PBE) for crystalline SiO2 at its relaxed geometry.

Unit cell a=8.671 b=19.264 c=23.561 alpha=90.00 beta=90.00 gamma=90.00
Space group Immm (No. 71)
Unique sites:
Si 0.182 0.000 0.243 [8 per cell]
Si 0.184 0.267 0.336 [16 per cell]
Si 0.184 0.359 0.227 [16 per cell]
Si 0.184 0.500 0.382 [8 per cell]
Si 0.185 0.143 0.066 [16 per cell]
O 0.000 0.000 0.227 [4 per cell]
O 0.000 0.149 0.071 [8 per cell]
O 0.000 0.253 0.334 [8 per cell]
O 0.000 0.375 0.226 [8 per cell]
O 0.000 0.500 0.394 [4 per cell]
O 0.214 0.500 0.314 [8 per cell]
O 0.222 0.069 0.281 [16 per cell]
O 0.228 0.306 0.175 [16 per cell]
O 0.231 0.295 0.398 [16 per cell]
O 0.233 0.323 0.288 [16 per cell]
O 0.237 0.068 0.090 [16 per cell]
O 0.239 0.151 0.000 [8 per cell]

Values from the calculation:
Total moment, μB per formula unit: 0.00
Calculated density, g/cm3: 1.6
Energy of formation, eV/f.u.: -9.8